No. 1
VASP calculation (r²SCAN) on a relaxed RbBa2Br5 crystal.

The space group is P2_1/c. The calculation puts the formation enthalpy at 0 K at -2379 meV per atom.

Lattice parameters (Å, degrees): 9.8395 8.7141 13.9894 90.00 90.09 90.00
With the nearest neighbours (Å) after each atom.
Positions (direct):
Rb (0.0066, 0.0372, 0.3294)  7 Br 3.42-3.72
Rb (0.0066, 0.4628, 0.8294)  7 Br 3.42-3.72
Rb (0.9934, 0.5372, 0.1706)  7 Br 3.42-3.72
Rb (0.9934, 0.9628, 0.6706)  7 Br 3.42-3.72
Ba (0.2481, 0.5722, 0.4923)  7 Br 3.19-3.36
Ba (0.2481, 0.9278, 0.9923)  7 Br 3.19-3.36
Ba (0.4997, 0.0251, 0.3227)  8 Br 3.33-3.42
Ba (0.4997, 0.4749, 0.8227)  8 Br 3.33-3.42
Ba (0.5003, 0.5251, 0.1773)  8 Br 3.33-3.42
Ba (0.5003, 0.9749, 0.6773)  8 Br 3.33-3.42
Ba (0.7519, 0.0722, 0.0077)  7 Br 3.19-3.36
Ba (0.7519, 0.4278, 0.5077)  7 Br 3.19-3.36
Br (0.0402, 0.1681, 0.0939)  2 Ba 3.19-3.26, 2 Rb 3.42-3.50
Br (0.0402, 0.3319, 0.5939)  2 Ba 3.19-3.26, 2 Rb 3.42-3.50
Br (0.2675, 0.6971, 0.7184)  3 Ba 3.33-3.38, 2 Rb 3.62-3.63
Br (0.2675, 0.8029, 0.2184)  3 Ba 3.33-3.38, 2 Rb 3.62-3.63
Br (0.2765, 0.5436, 0.9977)  3 Ba 3.34-3.36, 2 Rb 3.62-3.69
Br (0.2765, 0.9564, 0.4977)  3 Ba 3.34-3.36, 2 Rb 3.62-3.69
Br (0.2810, 0.1702, 0.8145)  3 Ba 3.28-3.42
Br (0.2810, 0.3298, 0.3145)  3 Ba 3.28-3.42
Br (0.4597, 0.1628, 0.0993)  4 Ba 3.25-3.37
Br (0.4597, 0.3372, 0.5993)  4 Ba 3.25-3.37
Br (0.5403, 0.6628, 0.4007)  4 Ba 3.25-3.37
Br (0.5403, 0.8372, 0.9007)  4 Ba 3.25-3.37
Br (0.7190, 0.6702, 0.6855)  3 Ba 3.28-3.42
Br (0.7190, 0.8298, 0.1855)  3 Ba 3.28-3.42
Br (0.7235, 0.0436, 0.5023)  3 Ba 3.34-3.36, 2 Rb 3.62-3.69
Br (0.7235, 0.4564, 0.0023)  3 Ba 3.34-3.36, 2 Rb 3.62-3.69
Br (0.7325, 0.1971, 0.7816)  3 Ba 3.33-3.38, 2 Rb 3.62-3.63
Br (0.7325, 0.3029, 0.2816)  3 Ba 3.33-3.38, 2 Rb 3.62-3.63
Br (0.9598, 0.6681, 0.4061)  2 Ba 3.19-3.26, 2 Rb 3.42-3.50
Br (0.9598, 0.8319, 0.9061)  2 Ba 3.19-3.26, 2 Rb 3.42-3.50

=====

No. 2
VASP calculation (r²SCAN) on a relaxed Ba2LaC3O9F crystal.

The space group is P2_1/m. The calculation puts the formation enthalpy at 0 K at -2611 meV per atom.

Lattice parameters (Å, degrees): 6.6648 5.1264 13.1631 90.00 102.75 90.00
With the nearest neighbours (Å) after each atom.
Positions (direct):
Ba (0.2153, 0.2500, 0.4249)  3 F 2.73-2.88, 7 O 2.77-2.89
Ba (0.2743, 0.2500, 0.0838)  11 O 2.69-3.01
Ba (0.7257, 0.7500, 0.9162)  11 O 2.69-3.01
Ba (0.7847, 0.7500, 0.5751)  3 F 2.73-2.88, 7 O 2.77-2.89
La (0.2264, 0.2500, 0.7383)  1 F 2.43, 7 O 2.51-2.66
La (0.7736, 0.7500, 0.2617)  1 F 2.43, 7 O 2.51-2.66
C (0.2142, 0.7500, 0.2268)  3 O 1.28-1.29
C (0.2543, 0.7500, 0.9276)  3 O 1.28-1.30
C (0.3321, 0.7500, 0.6283)  3 O 1.28-1.30
C (0.6679, 0.2500, 0.3717)  3 O 1.28-1.30
C (0.7457, 0.2500, 0.0724)  3 O 1.28-1.30
C (0.7858, 0.2500, 0.7732)  3 O 1.28-1.29
O (0.1211, 0.5335, 0.2375)  1 C 1.29
O (0.1211, 0.9665, 0.2375)  1 C 1.29
O (0.1350, 0.7500, 0.9916)  1 C 1.28
O (0.1918, 0.7500, 0.6833)  1 C 1.30
O (0.3213, 0.5316, 0.8980)  1 C 1.30
O (0.3213, 0.9684, 0.8980)  1 C 1.30
O (0.3897, 0.7500, 0.2018)  1 C 1.28
O (0.4018, 0.5303, 0.6042)  1 C 1.28
O (0.4018, 0.9697, 0.6042)  1 C 1.28
O (0.5982, 0.0303, 0.3958)  1 C 1.28
O (0.5982, 0.4697, 0.3958)  1 C 1.28
O (0.6103, 0.2500, 0.7982)  1 C 1.28
O (0.6787, 0.0316, 0.1020)  1 C 1.30
O (0.6787, 0.4684, 0.1020)  1 C 1.30
O (0.8082, 0.2500, 0.3167)  1 C 1.30
O (0.8650, 0.2500, 0.0084)  1 C 1.28
O (0.8789, 0.0335, 0.7625)  1 C 1.29
O (0.8789, 0.4665, 0.7625)  1 C 1.29
F (0.0184, 0.7500, 0.4285)  1 La 2.43
F (0.9816, 0.2500, 0.5715)  1 La 2.43